Record 1
! KMg14Fe | the Materials Project database | PBE | relaxed; values from VASP
! Crystal system ... hexagonal
! ΔH_f (0 K) ... 0.2306 eV per atom
! Density ... 1.965 g cm⁻³
! Calculated volume ... 22.98 Å³/atom
! Space-group type ... P-6m2 (187)
! Uncorrected energy ... -1.768 eV/atom
&SYSTEM
  ibrav = 0, nat = 16, ntyp = 3
/
ATOMIC_SPECIES
K 39.10 K.upf
Mg 24.30 Mg.upf
Fe 55.84 Fe.upf
CELL_PARAMETERS angstrom
6.452 0.000 0.000
-3.226 5.588 0.000
0.000 0.000 10.199
ATOMIC_POSITIONS crystal
K 0.167 0.333 0.625
Mg 0.153 0.826 0.125
Mg 0.179 0.839 0.625
Mg 0.674 0.347 0.125
Mg 0.661 0.321 0.625
Mg 0.674 0.826 0.125
Mg 0.661 0.839 0.625
Mg 0.328 0.172 0.346
Mg 0.328 0.172 0.904
Mg 0.328 0.656 0.346
Mg 0.328 0.656 0.904
Mg 0.844 0.172 0.346
Mg 0.844 0.172 0.904
Mg 0.833 0.667 0.384
Mg 0.833 0.667 0.866
Fe 0.167 0.333 0.125

---

Record 2
! KMg14Fe | the Materials Project database | PBE | relaxed; values from VASP
! Crystal system ... orthorhombic
! ΔH_f (0 K) ... 0.1918 eV per atom
! Density ... 1.930 g cm⁻³
! Calculated volume ... 23.40 Å³/atom
! Space-group type ... Amm2 (38)
! Uncorrected energy ... -1.807 eV/atom
&SYSTEM
  ibrav = 0, nat = 16, ntyp = 3
/
ATOMIC_SPECIES
K 39.10 K.upf
Mg 24.30 Mg.upf
Fe 55.84 Fe.upf
CELL_PARAMETERS angstrom
6.458 -0.015 0.000
-3.242 5.615 0.000
0.000 0.000 10.340
ATOMIC_POSITIONS crystal
K 0.165 0.833 0.125
Mg 0.165 0.333 0.625
Mg 0.169 0.834 0.625
Mg 0.662 0.338 0.125
Mg 0.666 0.330 0.625
Mg 0.662 0.824 0.125
Mg 0.666 0.836 0.625
Mg 0.333 0.180 0.379
Mg 0.333 0.180 0.871
Mg 0.333 0.654 0.379
Mg 0.333 0.654 0.871
Mg 0.842 0.171 0.363
Mg 0.842 0.171 0.887
Mg 0.823 0.662 0.389
Mg 0.823 0.662 0.861
Fe 0.182 0.341 0.125

---

Record 3
! KMg6Fe | the Materials Project database | PBE | relaxed; values from VASP
! ΔH_f (0 K) ... 0.3715 eV per atom
! Density ... 2.059 g cm⁻³
! Calculated volume ... 24.27 Å³/atom
! Uncorrected energy ... -2.026 eV/atom
&SYSTEM
  ibrav = 0, nat = 16, ntyp = 3
/
ATOMIC_SPECIES
K 39.10 K.upf
Mg 24.30 Mg.upf
Fe 55.84 Fe.upf
CELL_PARAMETERS angstrom
5.065 0.000 0.000
0.000 7.085 0.000
0.000 0.000 10.821
ATOMIC_POSITIONS crystal
K 0.500 0.500 0.849
K 0.500 0.000 0.349
Mg 0.500 0.244 0.091
Mg 0.500 0.756 0.091
Mg 0.000 0.211 0.901
Mg 0.000 0.789 0.901
Mg 0.000 0.500 0.155
Mg 0.000 0.500 0.645
Mg 0.500 0.744 0.591
Mg 0.500 0.256 0.591
Mg 0.000 0.711 0.401
Mg 0.000 0.289 0.401
Mg 0.000 0.000 0.655
Mg 0.000 0.000 0.145
Fe 0.500 0.500 0.366
Fe 0.500 0.000 0.866

---

Record 4
! KMg6Fe | the Materials Project database | PBE | relaxed; values from VASP
! ΔH_f (0 K) ... 0.3753 eV per atom
! Density ... 2.131 g cm⁻³
! Calculated volume ... 23.46 Å³/atom
! Uncorrected energy ... -2.022 eV/atom
&SYSTEM
  ibrav = 0, nat = 16, ntyp = 3
/
ATOMIC_SPECIES
K 39.10 K.upf
Mg 24.30 Mg.upf
Fe 55.84 Fe.upf
CELL_PARAMETERS angstrom
4.978 0.000 0.000
0.000 6.727 0.000
0.000 0.000 11.208
ATOMIC_POSITIONS crystal
K 0.500 0.500 0.156
K 0.500 0.000 0.656
Mg 0.000 0.220 0.074
Mg 0.000 0.780 0.074
Mg 0.000 0.500 0.842
Mg 0.500 0.219 0.903
Mg 0.500 0.781 0.903
Mg 0.500 0.500 0.669
Mg 0.000 0.720 0.574
Mg 0.000 0.280 0.574
Mg 0.000 0.000 0.342
Mg 0.500 0.719 0.403
Mg 0.500 0.281 0.403
Mg 0.500 0.000 0.169
Fe 0.000 0.500 0.379
Fe 0.000 0.000 0.879

---

Record 5
! K2MgFe2S4 | the Materials Project database | PBE | relaxed; values from VASP
! Crystal system ... monoclinic
! ΔH_f (0 K) ... -0.9125 eV per atom
! Density ... 2.881 g cm⁻³
! Calculated volume ... 21.93 Å³/atom
! Space-group type ... C2 (5)
! Uncorrected energy ... -4.834 eV/atom
&SYSTEM
  ibrav = 0, nat = 9, ntyp = 4
/
ATOMIC_SPECIES
K 39.10 K.upf
Mg 24.30 Mg.upf
Fe 55.84 Fe.upf
S 32.06 S.upf
CELL_PARAMETERS angstrom
-2.639 1.773 4.218
0.437 -6.666 1.195
5.798 3.516 0.269
ATOMIC_POSITIONS crystal
K 0.750 0.586 0.414
K 0.250 0.355 0.645
Mg 0.250 0.751 0.249
Fe 0.250 0.010 0.990
Fe 0.750 0.012 0.988
S 0.388 0.919 0.690
S 0.112 0.310 0.081
S 0.894 0.719 0.931
S 0.606 0.069 0.281

---

Record 6
! KFeN | the Materials Project database | PBE | relaxed; values from VASP
! Crystal system ... trigonal
! ΔH_f (0 K) ... 0.0268 eV per atom
! Density ... 3.993 g cm⁻³
! Calculated volume ... 15.10 Å³/atom
! Space-group type ... R3m (160)
! Uncorrected energy ... -5.825 eV/atom
&SYSTEM
  ibrav = 0, nat = 3, ntyp = 3
/
ATOMIC_SPECIES
K 39.10 K.upf
Fe 55.84 Fe.upf
N 14.01 N.upf
CELL_PARAMETERS angstrom
2.637 1.236 -1.005
-2.637 0.586 -1.481
-1.708 3.376 4.383
ATOMIC_POSITIONS crystal
K 0.720 0.691 0.911
Fe 0.734 0.197 0.431
N 0.117 0.889 0.506